[1]
A plane-wave DFT calculation with PBE was carried out for MgC8N6 after structural relaxation.

It has space group Pmna (No. 53), with a = 7.570 Å, b = 5.390 Å, c = 10.640 Å, α = 90.00°, β = 90.00° and γ = 90.00°. The inequivalent atoms are Mg at (0.000, 0.000, 0.000), C at (0.000, 0.392, 0.250), C at (0.000, 0.417, 0.660), C at (0.158, 0.310, 0.617), N at (0.000, 0.236, 0.173) and N at (0.213, 0.217, 0.921).

For the magnetization, the calculation gives 0.00 μB/f.u. The calculation puts the total energy at -8.16 eV/atom. The energy of formation from the pure elements comes out at 59.1 meV/atom. The calculation puts the energy above the most stable polymorph in this dataset at 0.0 meV/atom. For the volume, the calculation gives 434.1 Å³/cell.

=====

[2]
A plane-wave DFT calculation with PBE was carried out for Mg4CN4 after structural relaxation.

It has space group Pnma (No. 62), with a = 10.228 Å, b = 3.202 Å, c = 12.590 Å, α = 90.00°, β = 90.00° and γ = 90.00°. The inequivalent atoms are Mg at (0.106, 0.250, 0.049), Mg at (0.117, 0.750, 0.237), Mg at (0.136, 0.750, 0.840), Mg at (0.145, 0.250, 0.637), C at (0.118, 0.250, 0.425), N at (0.018, 0.250, 0.369), N at (0.019, 0.250, 0.888), N at (0.221, 0.250, 0.477) and N at (0.244, 0.250, 0.202).

For the magnetization, the calculation gives 0.00 μB/f.u. The calculation puts the total energy at -6.06 eV/atom. The energy of formation from the pure elements comes out at -775.9 meV/atom. For the volume, the calculation gives 412.3 Å³/cell.

=====

Which value of volume does entry 2 give?
412.3 Å³/cell

=====

The lowest energy of formation from the pure elements belongs to which entry?
Mg4CN4

=====

The highest total energy belongs to which entry?
Mg4CN4